Entry 1:
Li3Sn11Pd4 | meta-GGA r2SCAN | relaxed

Output
Raw total energy, eV/atom: -20.95

The structure in CIF format:
```
data_Li3Sn11Pd4
_chemical_formula_sum 'Li6 Sn22 Pd8'
_symmetry_space_group_name_H-M 'A m m 2'
_symmetry_Int_Tables_number 38
_cell_length_a 8.445
_cell_length_b 9.522
_cell_length_c 9.396
_cell_angle_alpha 90.00
_cell_angle_beta 90.00
_cell_angle_gamma 90.00
loop_
_symmetry_equiv_pos_as_xyz
'x,y,z'
'-x,-y,z'
'-x,y,z'
'x,-y,z'
'x,y+1/2,z+1/2'
'-x,-y+1/2,z+1/2'
'-x,y+1/2,z+1/2'
'x,-y+1/2,z+1/2'
loop_
_atom_site_label
_atom_site_type_symbol
_atom_site_fract_x
_atom_site_fract_y
_atom_site_fract_z
Li1 Li 0.000 0.000 0.000
Li2 Li 0.500 0.247 0.422
Sn1 Sn 0.000 0.000 0.332
Sn2 Sn 0.000 0.167 0.679
Sn3 Sn 0.317 0.000 0.842
Sn4 Sn 0.317 0.154 0.172
Sn5 Sn 0.320 0.000 0.525
Pd1 Pd 0.184 0.245 0.426
```



Entry 2:
LiSn6Pd2 | meta-GGA r2SCAN | relaxed

Output
Raw total energy, eV/atom: -22.13

The structure in CIF format:
```
data_LiSn6Pd2
_chemical_formula_sum 'Li2 Sn12 Pd4'
_symmetry_space_group_name_H-M 'P 4/m b m'
_symmetry_Int_Tables_number 127
_symmetry_space_group_name_Hall '-P 4 2ab'
_cell_length_a 6.685
_cell_length_b 6.685
_cell_length_c 8.711
_cell_angle_alpha 90.00
_cell_angle_beta 90.00
_cell_angle_gamma 90.00
loop_
_atom_site_label
_atom_site_type_symbol
_atom_site_fract_x
_atom_site_fract_y
_atom_site_fract_z
Li1 Li 0.000 0.000 0.000
Sn1 Sn 0.159 0.341 0.180
Sn2 Sn 0.163 0.663 0.500
Pd1 Pd 0.000 0.000 0.321
```



Entry 3:
LiTlPd2 | meta-GGA r2SCAN | relaxed

Output
Raw total energy, eV/atom: -25.79

The structure in CIF format:
```
data_LiTlPd2
_chemical_formula_sum 'Li2 Tl2 Pd4'
_symmetry_space_group_name_H-M 'I 4/m m m'
_symmetry_Int_Tables_number 139
_symmetry_space_group_name_Hall '-I 4 2'
_cell_length_a 4.153
_cell_length_b 4.153
_cell_length_c 7.515
_cell_angle_alpha 90.00
_cell_angle_beta 90.00
_cell_angle_gamma 90.00
loop_
_atom_site_label
_atom_site_type_symbol
_atom_site_fract_x
_atom_site_fract_y
_atom_site_fract_z
Li1 Li 0.000 0.000 0.000
Tl1 Tl 0.000 0.000 0.500
Pd1 Pd 0.000 0.500 0.250
```



Entry 4:
LiTmPd2 | meta-GGA r2SCAN | relaxed

Output
Raw total energy, eV/atom: -21.59

The structure in CIF format:
```
data_LiTmPd2
_chemical_formula_sum 'Li4 Tm4 Pd8'
_symmetry_space_group_name_H-M 'F m -3 m'
_symmetry_Int_Tables_number 225
_symmetry_space_group_name_Hall '-F 4 2 3'
_cell_length_a 6.521
_cell_length_b 6.521
_cell_length_c 6.521
_cell_angle_alpha 90.00
_cell_angle_beta 90.00
_cell_angle_gamma 90.00
loop_
_atom_site_label
_atom_site_type_symbol
_atom_site_fract_x
_atom_site_fract_y
_atom_site_fract_z
Li1 Li 0.000 0.000 0.000
Tm1 Tm 0.000 0.000 0.500
Pd1 Pd 0.250 0.250 0.250
```



Entry 5:
LiYb2Pd | meta-GGA r2SCAN | relaxed

Output
Raw total energy, eV/atom: -25.09

The structure in CIF format:
```
data_LiYb2Pd
_chemical_formula_sum 'Li4 Yb8 Pd4'
_symmetry_space_group_name_H-M 'F m -3 m'
_symmetry_Int_Tables_number 225
_symmetry_space_group_name_Hall '-F 4 2 3'
_cell_length_a 6.936
_cell_length_b 6.936
_cell_length_c 6.936
_cell_angle_alpha 90.00
_cell_angle_beta 90.00
_cell_angle_gamma 90.00
loop_
_atom_site_label
_atom_site_type_symbol
_atom_site_fract_x
_atom_site_fract_y
_atom_site_fract_z
Li1 Li 0.000 0.000 0.000
Yb1 Yb 0.250 0.250 0.250
Pd1 Pd 0.000 0.000 0.500
```



Entry 6:
LiZn2Pd | meta-GGA r2SCAN | relaxed

Output
Raw total energy, eV/atom: -11.25

The structure in CIF format:
```
data_LiZn2Pd
_chemical_formula_sum 'Li4 Zn8 Pd4'
_symmetry_space_group_name_H-M 'F m -3 m'
_symmetry_Int_Tables_number 225
_symmetry_space_group_name_Hall '-F 4 2 3'
_cell_length_a 6.037
_cell_length_b 6.037
_cell_length_c 6.037
_cell_angle_alpha 90.00
_cell_angle_beta 90.00
_cell_angle_gamma 90.00
loop_
_atom_site_label
_atom_site_type_symbol
_atom_site_fract_x
_atom_site_fract_y
_atom_site_fract_z
Li1 Li 0.000 0.000 0.000
Zn1 Zn 0.250 0.250 0.250
Pd1 Pd 0.000 0.000 0.500
```



Entry 7:
LiZrPd2 | meta-GGA r2SCAN | relaxed

Output
Raw total energy, eV/atom: -18.35

The structure in CIF format:
```
data_LiZrPd2
_chemical_formula_sum 'Li4 Zr4 Pd8'
_symmetry_space_group_name_H-M 'F m -3 m'
_symmetry_Int_Tables_number 225
_symmetry_space_group_name_Hall '-F 4 2 3'
_cell_length_a 6.393
_cell_length_b 6.393
_cell_length_c 6.393
_cell_angle_alpha 90.00
_cell_angle_beta 90.00
_cell_angle_gamma 90.00
loop_
_atom_site_label
_atom_site_type_symbol
_atom_site_fract_x
_atom_site_fract_y
_atom_site_fract_z
Li1 Li 0.000 0.000 0.000
Zr1 Zr 0.000 0.000 0.500
Pd1 Pd 0.250 0.250 0.250
```



Entry 8:
LiPm2Pt | meta-GGA r2SCAN | relaxed

Output
Raw total energy, eV/atom: -28.85

The structure in CIF format:
```
data_LiPm2Pt
_chemical_formula_sum 'Li4 Pm8 Pt4'
_symmetry_space_group_name_H-M 'F m -3 m'
_symmetry_Int_Tables_number 225
_symmetry_space_group_name_Hall '-F 4 2 3'
_cell_length_a 7.213
_cell_length_b 7.213
_cell_length_c 7.213
_cell_angle_alpha 90.00
_cell_angle_beta 90.00
_cell_angle_gamma 90.00
loop_
_atom_site_label
_atom_site_type_symbol
_atom_site_fract_x
_atom_site_fract_y
_atom_site_fract_z
Li1 Li 0.000 0.000 0.000
Pm1 Pm 0.250 0.250 0.250
Pt1 Pt 0.000 0.000 0.500
```



Entry 9:
LiPm2Ru | meta-GGA r2SCAN | relaxed

Output
Raw total energy, eV/atom: -21.91

The structure in CIF format:
```
data_LiPm2Ru
_chemical_formula_sum 'Li4 Pm8 Ru4'
_symmetry_space_group_name_H-M 'F m -3 m'
_symmetry_Int_Tables_number 225
_symmetry_space_group_name_Hall '-F 4 2 3'
_cell_length_a 7.094
_cell_length_b 7.094
_cell_length_c 7.094
_cell_angle_alpha 90.00
_cell_angle_beta 90.00
_cell_angle_gamma 90.00
loop_
_atom_site_label
_atom_site_type_symbol
_atom_site_fract_x
_atom_site_fract_y
_atom_site_fract_z
Li1 Li 0.000 0.000 0.000
Pm1 Pm 0.250 0.250 0.250
Ru1 Ru 0.000 0.000 0.500
```



Entry 10:
Li2PmSn | meta-GGA r2SCAN | relaxed

Output
Raw total energy, eV/atom: -15.29

The structure in CIF format:
```
data_Li2PmSn
_chemical_formula_sum 'Li8 Pm4 Sn4'
_symmetry_space_group_name_H-M 'F m -3 m'
_symmetry_Int_Tables_number 225
_symmetry_space_group_name_Hall '-F 4 2 3'
_cell_length_a 6.862
_cell_length_b 6.862
_cell_length_c 6.862
_cell_angle_alpha 90.00
_cell_angle_beta 90.00
_cell_angle_gamma 90.00
loop_
_atom_site_label
_atom_site_type_symbol
_atom_site_fract_x
_atom_site_fract_y
_atom_site_fract_z
Li1 Li 0.250 0.250 0.250
Pm1 Pm 0.000 0.000 0.000
Sn1 Sn 0.000 0.000 0.500
```



Entry 11:
LiPm2Sn | meta-GGA r2SCAN | relaxed

Output
Raw total energy, eV/atom: -22.07

The structure in CIF format:
```
data_LiPm2Sn
_chemical_formula_sum 'Li4 Pm8 Sn4'
_symmetry_space_group_name_H-M 'F m -3 m'
_symmetry_Int_Tables_number 225
_symmetry_space_group_name_Hall '-F 4 2 3'
_cell_length_a 7.563
_cell_length_b 7.563
_cell_length_c 7.563
_cell_angle_alpha 90.00
_cell_angle_beta 90.00
_cell_angle_gamma 90.00
loop_
_atom_site_label
_atom_site_type_symbol
_atom_site_fract_x
_atom_site_fract_y
_atom_site_fract_z
Li1 Li 0.000 0.000 0.000
Pm1 Pm 0.250 0.250 0.250
Sn1 Sn 0.000 0.000 0.500
```



Entry 12:
Li2PmTl | meta-GGA r2SCAN | relaxed

Output
Raw total energy, eV/atom: -22.22

The structure in CIF format:
```
data_Li2PmTl
_chemical_formula_sum 'Li8 Pm4 Tl4'
_symmetry_space_group_name_H-M 'F m -3 m'
_symmetry_Int_Tables_number 225
_symmetry_space_group_name_Hall '-F 4 2 3'
_cell_length_a 6.915
_cell_length_b 6.915
_cell_length_c 6.915
_cell_angle_alpha 90.00
_cell_angle_beta 90.00
_cell_angle_gamma 90.00
loop_
_atom_site_label
_atom_site_type_symbol
_atom_site_fract_x
_atom_site_fract_y
_atom_site_fract_z
Li1 Li 0.250 0.250 0.250
Pm1 Pm 0.000 0.000 0.000
Tl1 Tl 0.000 0.000 0.500
```